[1]
MgCoSi2O6: relaxed, GGA+U.

```
data_MgCoSi2O6
_cell_length_a 5.285
_cell_length_b 9.063
_cell_length_c 18.449
_cell_angle_alpha 90.00
_cell_angle_beta 90.00
_cell_angle_gamma 90.00
_space_group_name_H-M_alt 'P 1'
_space_group_IT_number 1
_space_group_name_Hall 'P 1'
loop_
_atom_site_label
_atom_site_type_symbol
_atom_site_fract_x
_atom_site_fract_y
_atom_site_fract_z
O1 O 0.698 0.485 0.567
O2 O 0.198 0.515 0.933
O3 O 0.919 0.705 0.449
O4 O 0.445 0.838 0.184
O5 O 0.055 0.338 0.816
O6 O 0.302 0.015 0.067
O7 O 0.213 0.662 0.563
O8 O 0.336 0.769 0.803
O9 O 0.567 0.501 0.812
O10 O 0.302 0.515 0.433
O11 O 0.713 0.338 0.937
O12 O 0.664 0.231 0.197
O13 O 0.836 0.731 0.803
O14 O 0.664 0.731 0.303
O15 O 0.919 0.205 0.051
O16 O 0.802 0.485 0.067
O17 O 0.787 0.838 0.063
O18 O 0.067 0.499 0.688
O19 O 0.419 0.295 0.051
O20 O 0.555 0.162 0.816
O21 O 0.287 0.662 0.063
O22 O 0.555 0.662 0.684
O23 O 0.802 0.985 0.433
O24 O 0.055 0.838 0.684
O25 O 0.445 0.338 0.316
O26 O 0.198 0.015 0.567
O27 O 0.287 0.162 0.437
O28 O 0.433 0.999 0.312
O29 O 0.698 0.985 0.933
O30 O 0.164 0.269 0.197
O31 O 0.933 0.501 0.312
O32 O 0.067 0.999 0.812
O33 O 0.213 0.162 0.937
O34 O 0.933 0.001 0.188
O35 O 0.945 0.662 0.184
O36 O 0.713 0.838 0.563
O37 O 0.581 0.205 0.551
O38 O 0.164 0.769 0.303
O39 O 0.787 0.338 0.437
O40 O 0.567 0.001 0.688
O41 O 0.081 0.295 0.551
O42 O 0.433 0.499 0.188
O43 O 0.945 0.162 0.316
O44 O 0.581 0.705 0.949
O45 O 0.336 0.269 0.697
O46 O 0.081 0.795 0.949
O47 O 0.836 0.231 0.697
O48 O 0.419 0.795 0.449
Mg1 Mg 0.882 0.152 0.875
Mg2 Mg 0.118 0.348 0.375
Mg3 Mg 0.618 0.152 0.375
Mg4 Mg 0.382 0.348 0.875
Mg5 Mg 0.118 0.848 0.125
Mg6 Mg 0.382 0.848 0.625
Mg7 Mg 0.882 0.652 0.625
Mg8 Mg 0.618 0.652 0.125
Si1 Si 0.285 0.164 0.526
Si2 Si 0.436 0.840 0.272
Si3 Si 0.215 0.164 0.026
Si4 Si 0.064 0.340 0.728
Si5 Si 0.715 0.836 0.474
Si6 Si 0.285 0.664 0.974
Si7 Si 0.936 0.660 0.272
Si8 Si 0.715 0.336 0.026
Si9 Si 0.215 0.664 0.474
Si10 Si 0.436 0.340 0.228
Si11 Si 0.564 0.160 0.728
Si12 Si 0.785 0.836 0.974
Si13 Si 0.785 0.336 0.526
Si14 Si 0.936 0.160 0.228
Si15 Si 0.064 0.840 0.772
Si16 Si 0.564 0.660 0.772
Co1 Co 0.877 0.008 0.624
Co2 Co 0.377 0.492 0.624
Co3 Co 0.877 0.508 0.876
Co4 Co 0.377 0.992 0.876
Co5 Co 0.123 0.492 0.124
Co6 Co 0.623 0.008 0.124
Co7 Co 0.123 0.992 0.376
Co8 Co 0.623 0.508 0.376
```

For the corrected total energy (MP2020 scheme), the calculation gives -7.7751 eV per atom. The value obtained for the density is 3539 kg/m3. The value obtained for the energy of formation is -2.850 eV per atom. Its energy above the most stable polymorph in this dataset is 0.0000 eV per atom. The calculated total energy is -0.5291 Ry per atom.

[2]
Mg14CoSiO16: relaxed, GGA+U.

```
data_Mg14CoSiO16
_cell_length_a 8.564
_cell_length_b 8.507
_cell_length_c 4.276
_cell_angle_alpha 90.00
_cell_angle_beta 90.00
_cell_angle_gamma 90.00
_space_group_name_H-M_alt 'P 1'
_space_group_IT_number 1
_space_group_name_Hall 'P 1'
loop_
_atom_site_label
_atom_site_type_symbol
_atom_site_fract_x
_atom_site_fract_y
_atom_site_fract_z
O1 O 0.500 0.255 0.000
O2 O 0.000 0.500 0.500
O3 O 0.000 0.718 0.000
O4 O 0.738 0.000 0.000
O5 O 0.752 0.749 0.500
O6 O 0.500 0.000 0.500
O7 O 0.500 0.500 0.500
O8 O 0.500 0.745 0.000
O9 O 0.248 0.749 0.500
O10 O 0.752 0.251 0.500
O11 O 0.000 0.000 0.500
O12 O 0.262 0.000 0.000
O13 O 0.248 0.251 0.500
O14 O 0.000 0.282 0.000
O15 O 0.759 0.500 0.000
O16 O 0.241 0.500 0.000
Mg1 Mg 0.246 0.000 0.500
Mg2 Mg 0.750 0.756 0.000
Mg3 Mg 0.500 0.752 0.500
Mg4 Mg 0.250 0.244 0.000
Mg5 Mg 0.250 0.756 0.000
Mg6 Mg 0.750 0.500 0.500
Mg7 Mg 0.500 0.248 0.500
Mg8 Mg 0.754 0.000 0.500
Mg9 Mg 0.750 0.244 0.000
Mg10 Mg 0.500 0.500 0.000
Mg11 Mg 0.250 0.500 0.500
Mg12 Mg 0.500 0.000 0.000
Mg13 Mg 0.000 0.243 0.500
Mg14 Mg 0.000 0.757 0.500
Co1 Co 0.000 0.000 0.000
Si1 Si 0.000 0.500 0.000
```

For the corrected total energy (MP2020 scheme), the calculation gives -6.3606 eV per atom. The value obtained for the density is 3642 kg/m3. The value obtained for the energy of formation is -2.795 eV per atom. Its energy above the most stable polymorph in this dataset is 0.0000 eV per atom. The calculated total energy is -0.4385 Ry per atom.

[3]
MgCoSiO4: relaxed, GGA+U.

```
data_MgCoSiO4
_cell_length_a 4.816
_cell_length_b 6.091
_cell_length_c 10.296
_cell_angle_alpha 90.00
_cell_angle_beta 90.00
_cell_angle_gamma 90.00
_space_group_name_H-M_alt 'P 1'
_space_group_IT_number 1
_space_group_name_Hall 'P 1'
loop_
_atom_site_label
_atom_site_type_symbol
_atom_site_fract_x
_atom_site_fract_y
_atom_site_fract_z
Co1 Co 0.001 0.750 0.275
Co2 Co 0.499 0.750 0.775
Co3 Co 0.999 0.250 0.725
Co4 Co 0.501 0.250 0.225
Si1 Si 0.573 0.750 0.094
Si2 Si 0.927 0.750 0.594
Si3 Si 0.427 0.250 0.906
Si4 Si 0.073 0.250 0.406
O1 O 0.276 0.033 0.838
O2 O 0.734 0.250 0.409
O3 O 0.766 0.250 0.909
O4 O 0.723 0.750 0.947
O5 O 0.724 0.533 0.162
O6 O 0.224 0.467 0.338
O7 O 0.223 0.250 0.553
O8 O 0.266 0.750 0.591
O9 O 0.776 0.967 0.662
O10 O 0.277 0.250 0.053
O11 O 0.234 0.750 0.091
O12 O 0.724 0.967 0.162
O13 O 0.777 0.750 0.447
O14 O 0.776 0.533 0.662
O15 O 0.276 0.467 0.838
O16 O 0.224 0.033 0.338
Mg1 Mg 0.000 0.000 0.000
Mg2 Mg 0.500 0.500 0.500
Mg3 Mg 0.000 0.500 0.000
Mg4 Mg 0.500 0.000 0.500
```

For the corrected total energy (MP2020 scheme), the calculation gives -7.4878 eV per atom. The value obtained for the density is 3855 kg/m3. The value obtained for the energy of formation is -2.641 eV per atom. The calculated total energy is -0.5043 Ry per atom.

[4]
Mg6CoSiO8: relaxed, GGA+U.

```
data_Mg6CoSiO8
_cell_length_a 8.635
_cell_length_b 4.267
_cell_length_c 4.267
_cell_angle_alpha 90.00
_cell_angle_beta 90.00
_cell_angle_gamma 90.00
_space_group_name_H-M_alt 'P 1'
_space_group_IT_number 1
_space_group_name_Hall 'P 1'
loop_
_atom_site_label
_atom_site_type_symbol
_atom_site_fract_x
_atom_site_fract_y
_atom_site_fract_z
Co1 Co 0.000 0.000 0.000
O1 O 0.752 0.500 0.500
O2 O 0.740 0.000 0.000
O3 O 0.500 0.000 0.500
O4 O 0.000 0.500 0.000
O5 O 0.500 0.500 0.000
O6 O 0.000 0.000 0.500
O7 O 0.248 0.500 0.500
O8 O 0.260 0.000 0.000
Mg1 Mg 0.251 0.500 0.000
Mg2 Mg 0.500 0.500 0.500
Mg3 Mg 0.749 0.500 0.000
Mg4 Mg 0.500 0.000 0.000
Mg5 Mg 0.251 0.000 0.500
Mg6 Mg 0.749 0.000 0.500
Si1 Si 0.000 0.500 0.500
```

For the corrected total energy (MP2020 scheme), the calculation gives -6.3751 eV per atom. The value obtained for the density is 3810 kg/m3. The value obtained for the energy of formation is -2.518 eV per atom. Its energy above the most stable polymorph in this dataset is 0.0139 eV per atom. The calculated total energy is -0.4358 Ry per atom.

[5]
MgCoSi2O6: relaxed, GGA+U.

```
data_MgCoSi2O6
_cell_length_a 5.299
_cell_length_b 6.696
_cell_length_c 13.197
_cell_angle_alpha 91.13
_cell_angle_beta 99.42
_cell_angle_gamma 76.45
_space_group_name_H-M_alt 'P 1'
_space_group_IT_number 1
_space_group_name_Hall 'P 1'
loop_
_atom_site_label
_atom_site_type_symbol
_atom_site_fract_x
_atom_site_fract_y
_atom_site_fract_z
O1 O 0.365 0.212 0.515
O2 O 0.843 0.616 0.841
O3 O 0.439 0.138 0.309
O4 O 0.810 0.681 0.308
O5 O 0.698 0.619 0.069
O6 O 0.865 0.212 0.015
O7 O 0.061 0.862 0.191
O8 O 0.657 0.384 0.659
O9 O 0.939 0.138 0.809
O10 O 0.802 0.381 0.431
O11 O 0.310 0.681 0.808
O12 O 0.544 0.970 0.894
O13 O 0.561 0.862 0.691
O14 O 0.456 0.030 0.106
O15 O 0.044 0.970 0.394
O16 O 0.199 0.619 0.569
O17 O 0.343 0.616 0.341
O18 O 0.635 0.788 0.485
O19 O 0.690 0.319 0.192
O20 O 0.135 0.788 0.985
O21 O 0.302 0.381 0.931
O22 O 0.190 0.319 0.692
O23 O 0.157 0.384 0.159
O24 O 0.956 0.031 0.606
Mg1 Mg 0.872 0.755 0.622
Mg2 Mg 0.628 0.245 0.878
Mg3 Mg 0.372 0.755 0.122
Mg4 Mg 0.128 0.245 0.378
Si1 Si 0.060 0.790 0.307
Si2 Si 0.352 0.386 0.605
Si3 Si 0.852 0.386 0.105
Si4 Si 0.148 0.614 0.895
Si5 Si 0.648 0.614 0.395
Si6 Si 0.440 0.210 0.193
Si7 Si 0.560 0.790 0.807
Si8 Si 0.940 0.210 0.693
Co1 Co 0.801 0.899 0.050
Co2 Co 0.300 0.899 0.550
Co3 Co 0.700 0.101 0.450
Co4 Co 0.199 0.101 0.950
```

For the corrected total energy (MP2020 scheme), the calculation gives -7.7518 eV per atom. The value obtained for the density is 3482 kg/m3. The value obtained for the energy of formation is -2.827 eV per atom. Its energy above the most stable polymorph in this dataset is 0.0233 eV per atom. The calculated total energy is -0.5274 Ry per atom.

[6]
Mg14CoSiO16: relaxed, GGA+U.

```
data_Mg14CoSiO16
_cell_length_a 8.545
_cell_length_b 8.545
_cell_length_c 4.277
_cell_angle_alpha 90.00
_cell_angle_beta 90.00
_cell_angle_gamma 90.00
_space_group_name_H-M_alt 'P 1'
_space_group_IT_number 1
_space_group_name_Hall 'P 1'
loop_
_atom_site_label
_atom_site_type_symbol
_atom_site_fract_x
_atom_site_fract_y
_atom_site_fract_z
Mg1 Mg 0.244 0.244 0.000
Mg2 Mg 0.500 0.246 0.500
Mg3 Mg 0.246 0.500 0.500
Mg4 Mg 0.756 0.244 0.000
Mg5 Mg 0.500 0.000 0.000
Mg6 Mg 0.500 0.754 0.500
Mg7 Mg 0.000 0.500 0.000
Mg8 Mg 0.244 0.756 0.000
Mg9 Mg 0.000 0.755 0.500
Mg10 Mg 0.000 0.245 0.500
Mg11 Mg 0.754 0.500 0.500
Mg12 Mg 0.756 0.756 0.000
Mg13 Mg 0.755 0.000 0.500
Mg14 Mg 0.245 0.000 0.500
Co1 Co 0.000 0.000 0.000
Si1 Si 0.500 0.500 0.000
O1 O 0.500 0.262 0.000
O2 O 0.738 0.500 0.000
O3 O 0.265 0.000 0.000
O4 O 0.749 0.251 0.500
O5 O 0.251 0.251 0.500
O6 O 0.735 0.000 0.000
O7 O 0.500 0.500 0.500
O8 O 0.500 0.000 0.500
O9 O 0.000 0.500 0.500
O10 O 0.251 0.749 0.500
O11 O 0.000 0.265 0.000
O12 O 0.000 0.735 0.000
O13 O 0.262 0.500 0.000
O14 O 0.000 0.000 0.500
O15 O 0.749 0.749 0.500
O16 O 0.500 0.738 0.000
```

For the corrected total energy (MP2020 scheme), the calculation gives -6.3455 eV per atom. The value obtained for the density is 3633 kg/m3. The value obtained for the energy of formation is -2.780 eV per atom. Its energy above the most stable polymorph in this dataset is 0.0151 eV per atom. The calculated total energy is -0.4374 Ry per atom.